VASP calculation (PBE-GGA) on crystalline LaB2Pt2C at its relaxed geometry.

Geometry as extended XYZ:
```
6
Lattice="-1.949 1.949 5.394 1.949 -1.949 5.394 1.949 1.949 -5.394" Properties=species:S:1:pos:R:3 pbc="T T T"
La 0.000 0.000 0.000
B 0.000 0.000 3.907
B 0.000 0.000 6.881
Pt 1.949 0.000 2.697
Pt 0.000 1.949 2.697
C 0.000 0.000 5.394
```

- formation energy from the elements (eV per atom) = -0.6381
- SG = No. 139
- mass density (g cm⁻³) = 11.396

VASP calculation (PBE-GGA) on crystalline LiB2C2 at its relaxed geometry.

Geometry as extended XYZ:
```
5
Lattice="2.715 0.000 0.000 -1.357 2.351 0.000 0.000 0.000 7.118" Properties=species:S:1:pos:R:3 pbc="T T T"
Li 0.000 0.000 0.000
B 0.000 1.567 1.778
B 1.357 0.784 5.340
C 0.000 1.567 5.397
C 1.357 0.784 1.721
```

- formation energy from the elements (eV per atom) = 0.0009
- SG = No. 164
- mass density (g cm⁻³) = 1.922

VASP calculation (PBE-GGA) on crystalline LiBC4O8 at its relaxed geometry.

Geometry as extended XYZ:
```
56
Lattice="6.532 0.000 0.000 0.000 7.666 0.000 0.000 0.000 13.466" Properties=species:S:1:pos:R:3 pbc="T T T"
Li 0.180 1.916 2.449
Li 3.086 5.749 9.182
Li 3.446 1.916 4.284
Li 6.352 5.749 11.017
B 0.631 1.916 7.299
B 2.635 5.749 0.566
B 3.897 1.916 12.900
B 5.901 5.749 6.167
C 0.527 5.749 8.153
C 0.952 4.973 1.937
C 0.952 6.526 1.937
C 1.513 5.749 6.984
C 1.753 1.916 0.251
C 2.314 1.140 8.670
C 2.314 2.693 8.670
C 2.739 1.916 1.420
C 3.793 5.749 12.047
C 4.218 4.973 4.796
C 4.218 6.526 4.796
C 4.779 5.749 13.215
C 5.019 1.916 6.482
C 5.580 1.140 11.529
C 5.580 2.693 11.529
C 6.005 1.916 5.313
O 0.199 4.225 2.531
O 0.199 7.273 2.531
O 0.536 1.916 0.392
O 0.700 1.916 5.787
O 0.829 5.749 5.858
O 0.879 5.749 9.331
O 1.312 0.748 7.867
O 1.312 3.085 7.867
O 1.954 4.581 1.134
O 1.954 6.918 1.134
O 2.387 1.916 2.598
O 2.436 1.916 12.591
O 2.566 5.749 12.520
O 2.730 5.749 7.125
O 3.067 0.392 9.264
O 3.067 3.440 9.264
O 3.465 4.225 4.202
O 3.465 7.273 4.202
O 3.802 1.916 6.341
O 3.966 1.916 0.946
O 4.095 5.749 0.875
O 4.145 5.749 10.869
O 4.578 0.748 12.332
O 4.578 3.085 12.332
O 5.220 4.581 5.599
O 5.220 6.918 5.599
O 5.653 1.916 4.136
O 5.702 1.916 7.608
O 5.832 5.749 7.679
O 5.996 5.749 13.074
O 6.333 0.392 10.935
O 6.333 3.440 10.935
```

- formation energy from the elements (eV per atom) = -1.8324
- SG = No. 62
- MP2020-corrected energy (eV per atom) = -7.91
- mass density (g cm⁻³) = 1.909